[1]
Crystalline DyCrSb3 at its relaxed geometry. Source: the Materials Project database, functional PBE.

Cell: 12.765 6.202 6.036 Å, 90.00 90.00 90.00°
Positions (direct):
Dy1 0.191 0.005 0.250
Dy2 0.191 0.495 0.750
Dy3 0.809 0.505 0.250
Dy4 0.809 0.995 0.750
Cr1 0.403 0.750 0.000
Cr2 0.403 0.750 0.500
Cr3 0.597 0.250 0.000
Cr4 0.597 0.250 0.500
Sb1 0.002 0.750 0.000
Sb2 0.002 0.750 0.500
Sb3 0.274 0.003 0.750
Sb4 0.274 0.497 0.250
Sb5 0.436 0.101 0.250
Sb6 0.436 0.399 0.750
Sb7 0.564 0.601 0.250
Sb8 0.564 0.899 0.750
Sb9 0.726 0.503 0.750
Sb10 0.726 0.997 0.250
Sb11 0.998 0.250 0.000
Sb12 0.998 0.250 0.500

Properties
The value obtained for the calculated formation energy is -527.6 meV/atom. Its total energy is -114.8 eV per cell. Its space group is Pbcm, No. 57.

---

[2]
Crystalline DyCrSe3 at its relaxed geometry. Source: the Materials Project database, functional PBE.

Cell: 8.230 3.891 13.270 Å, 90.00 90.00 90.00°
Positions (direct):
Dy1 0.080 0.250 0.172
Dy2 0.420 0.750 0.672
Dy3 0.580 0.250 0.328
Dy4 0.920 0.750 0.828
Cr1 0.164 0.750 0.451
Cr2 0.336 0.250 0.951
Cr3 0.664 0.750 0.049
Cr4 0.836 0.250 0.549
Se1 0.006 0.750 0.611
Se2 0.153 0.750 0.008
Se3 0.197 0.250 0.784
Se4 0.303 0.750 0.284
Se5 0.347 0.250 0.508
Se6 0.494 0.250 0.111
Se7 0.506 0.750 0.889
Se8 0.653 0.750 0.492
Se9 0.697 0.250 0.716
Se10 0.803 0.750 0.216
Se11 0.847 0.250 0.992
Se12 0.994 0.250 0.389

Properties
The value obtained for the calculated formation energy is -1439.2 meV/atom. Its total energy is -122.1 eV per cell. Its space group is Pnma, No. 62.

---

- Which of these has the highest calculated formation energy?
  DyCrSb3